*A*
The following is a DFT calculation (PBE) of a geometry-optimized TeAsSe2F6 structure.

Structure (CIF):
```
data_TeAsSe2F6
_symmetry_space_group_name_H-M 'P 1'
_symmetry_Int_Tables_number 1
_cell_length_a 9.1312
_cell_length_b 13.6445
_cell_length_c 16.1616
_cell_angle_alpha 90.00
_cell_angle_beta 90.00
_cell_angle_gamma 90.00
loop_
_symmetry_equiv_pos_as_xyz
'x,y,z'
loop_
_atom_site_label
_atom_site_fract_x
_atom_site_fract_y
_atom_site_fract_z
Te1 0.0046 0.2181 0.3900
Te2 0.1851 0.3223 0.2741
Te3 0.3149 0.6777 0.7741
Te4 0.4954 0.7819 0.8900
Te5 0.5046 0.2819 0.6100
Te6 0.6851 0.1777 0.7259
Te7 0.8149 0.8223 0.2259
Te8 0.9954 0.7181 0.1100
As1 0.2225 0.2718 0.7910
As2 0.2351 0.4613 0.5049
As3 0.2649 0.5387 0.0049
As4 0.2775 0.7282 0.2910
As5 0.7225 0.2282 0.2090
As6 0.7351 0.0387 0.4951
As7 0.7649 0.9613 0.9951
As8 0.7775 0.7718 0.7090
Se1 0.1352 0.9164 0.8173
Se2 0.1387 0.0467 0.3748
Se3 0.1782 0.7443 0.6038
Se4 0.2172 0.1397 0.2030
Se5 0.2828 0.8603 0.7030
Se6 0.3218 0.2557 0.1038
Se7 0.3613 0.9533 0.8748
Se8 0.3648 0.0836 0.3173
Se9 0.6352 0.5836 0.1827
Se10 0.6387 0.4533 0.6252
Se11 0.6782 0.7557 0.3962
Se12 0.7172 0.3603 0.7970
Se13 0.7828 0.6397 0.2970
Se14 0.8218 0.2443 0.8962
Se15 0.8613 0.5467 0.1252
Se16 0.8648 0.4164 0.6827
F1 0.0653 0.2119 0.8351
F2 0.0905 0.2677 0.4933
F3 0.0913 0.5483 0.5085
F4 0.1193 0.6672 0.2438
F5 0.1202 0.3815 0.7818
F6 0.1217 0.4571 0.9792
F7 0.1434 0.4351 0.3568
F8 0.1436 0.2505 0.0565
F9 0.1655 0.2373 0.6904
F10 0.1767 0.8383 0.2983
F11 0.2134 0.6923 0.3881
F12 0.2306 0.5285 0.1145
F13 0.2694 0.4715 0.6145
F14 0.2866 0.3077 0.8881
F15 0.3233 0.1617 0.7983
F16 0.3345 0.7627 0.1904
F17 0.3564 0.7495 0.5565
F18 0.3566 0.5649 0.8568
F19 0.3783 0.5429 0.4792
F20 0.3798 0.6185 0.2818
F21 0.3807 0.3328 0.7438
F22 0.4087 0.4517 0.0085
F23 0.4095 0.7323 0.9933
F24 0.4347 0.7881 0.3351
F25 0.5653 0.2881 0.1649
F26 0.5905 0.2323 0.5067
F27 0.5913 0.9517 0.4915
F28 0.6193 0.8328 0.7562
F29 0.6202 0.1185 0.2182
F30 0.6217 0.0429 0.0208
F31 0.6434 0.0649 0.6432
F32 0.6436 0.2495 0.9435
F33 0.6655 0.2627 0.3096
F34 0.6767 0.6617 0.7017
F35 0.7134 0.8077 0.6119
F36 0.7306 0.9715 0.8855
F37 0.7694 0.0285 0.3855
F38 0.7866 0.1923 0.1119
F39 0.8233 0.3383 0.2017
F40 0.8345 0.7373 0.8096
F41 0.8564 0.7505 0.4435
F42 0.8566 0.9351 0.1432
F43 0.8783 0.9571 0.5208
F44 0.8798 0.8815 0.7182
F45 0.8807 0.1672 0.2562
F46 0.9087 0.0483 0.9915
F47 0.9095 0.7677 0.0067
F48 0.9347 0.7119 0.6649
```

Calculated values
As for the symmetry: P2_12_12_1. As for the crystal system: orthorhombic.

*B*
The following is a DFT calculation (PBE) of a geometry-optimized TeAsSe2F6 structure.

Structure (CIF):
```
data_TeAsSe2F6
_symmetry_space_group_name_H-M 'P 1'
_symmetry_Int_Tables_number 1
_cell_length_a 24.1991
_cell_length_b 8.8037
_cell_length_c 15.3317
_cell_angle_alpha 90.00
_cell_angle_beta 90.00
_cell_angle_gamma 90.00
loop_
_symmetry_equiv_pos_as_xyz
'x,y,z'
loop_
_atom_site_label
_atom_site_fract_x
_atom_site_fract_y
_atom_site_fract_z
Te1 0.0041 0.0560 0.0000
Te2 0.0630 0.8192 0.6373
Te3 0.1882 0.3207 0.7145
Te4 0.2483 0.9242 0.3610
Te5 0.2517 0.4242 0.8610
Te6 0.3118 0.8207 0.2145
Te7 0.4370 0.3192 0.1373
Te8 0.4959 0.5560 0.5000
Te9 0.5041 0.4440 0.0000
Te10 0.5630 0.6808 0.6373
Te11 0.6882 0.1793 0.7145
Te12 0.7483 0.5758 0.3610
Te13 0.7517 0.0758 0.8610
Te14 0.8118 0.6793 0.2145
Te15 0.9370 0.1808 0.1373
Te16 0.9959 0.9440 0.5000
As1 0.0216 0.2475 0.7436
As2 0.1136 0.7087 0.9093
As3 0.1273 0.2692 0.4536
As4 0.2319 0.7550 0.6163
As5 0.2681 0.2550 0.1163
As6 0.3727 0.7692 0.9536
As7 0.3864 0.2087 0.4093
As8 0.4784 0.7475 0.2436
As9 0.5216 0.2525 0.7436
As10 0.6136 0.7913 0.9093
As11 0.6273 0.2308 0.4536
As12 0.7319 0.7450 0.6163
As13 0.7681 0.2450 0.1163
As14 0.8727 0.7308 0.9536
As15 0.8864 0.2913 0.4093
As16 0.9784 0.7525 0.2436
Se1 0.0190 0.2761 0.2314
Se2 0.0407 0.6823 0.4951
Se3 0.0720 0.3723 0.1178
Se4 0.0991 0.1355 0.0644
Se5 0.1508 0.8698 0.2958
Se6 0.1737 0.6450 0.2238
Se7 0.2110 0.1584 0.8478
Se8 0.2282 0.7542 0.1155
Se9 0.2718 0.2542 0.6155
Se10 0.2890 0.6584 0.3478
Se11 0.3263 0.1450 0.7238
Se12 0.3492 0.3698 0.7958
Se13 0.4009 0.6355 0.5644
Se14 0.4280 0.8723 0.6178
Se15 0.4593 0.1823 0.9951
Se16 0.4810 0.7761 0.7314
Se17 0.5190 0.2239 0.2314
Se18 0.5407 0.8177 0.4951
Se19 0.5720 0.1277 0.1178
Se20 0.5991 0.3645 0.0644
Se21 0.6508 0.6302 0.2958
Se22 0.6737 0.8550 0.2238
Se23 0.7110 0.3416 0.8478
Se24 0.7282 0.7458 0.1155
Se25 0.7718 0.2458 0.6155
Se26 0.7890 0.8416 0.3478
Se27 0.8263 0.3550 0.7238
Se28 0.8492 0.1302 0.7958
Se29 0.9009 0.8645 0.5644
Se30 0.9280 0.6277 0.6178
Se31 0.9593 0.3177 0.9951
Se32 0.9810 0.7239 0.7314
F1 0.0126 0.9107 0.2925
F2 0.0144 0.7881 0.1452
F3 0.0327 0.6319 0.2796
F4 0.0489 0.6180 0.9196
F5 0.0569 0.4016 0.6952
F6 0.0580 0.2772 0.8427
F7 0.0631 0.3364 0.4920
F8 0.0762 0.1229 0.7091
F9 0.0820 0.8568 0.8463
F10 0.0923 0.1353 0.3857
F11 0.0993 0.8149 0.0066
F12 0.1267 0.4055 0.3684
F13 0.1276 0.6070 0.8120
F14 0.1292 0.1322 0.5383
F15 0.1452 0.5620 0.9721
F16 0.1628 0.3986 0.5228
F17 0.1738 0.6344 0.6372
F18 0.1781 0.8018 0.9013
F19 0.1922 0.1990 0.4139
F20 0.1944 0.8390 0.5280
F21 0.2034 0.8917 0.6879
F22 0.2109 0.3745 0.0943
F23 0.2318 0.1668 0.2028
F24 0.2409 0.1185 0.0422
F25 0.2591 0.6185 0.5422
F26 0.2682 0.6668 0.7028
F27 0.2891 0.8745 0.5943
F28 0.2966 0.3917 0.1879
F29 0.3056 0.3390 0.0280
F30 0.3078 0.6990 0.9139
F31 0.3219 0.3018 0.4013
F32 0.3262 0.1344 0.1372
F33 0.3372 0.8986 0.0228
F34 0.3548 0.0620 0.4721
F35 0.3708 0.6322 0.0383
F36 0.3724 0.1070 0.3120
F37 0.3733 0.9055 0.8684
F38 0.4007 0.3149 0.5066
F39 0.4077 0.6353 0.8857
F40 0.4180 0.3568 0.3463
F41 0.4238 0.6229 0.2091
F42 0.4369 0.8364 0.9920
F43 0.4420 0.7772 0.3427
F44 0.4431 0.9016 0.1952
F45 0.4511 0.1180 0.4196
F46 0.4673 0.1319 0.7796
F47 0.4856 0.2881 0.6452
F48 0.4874 0.4107 0.7925
F49 0.5126 0.5893 0.2925
F50 0.5144 0.7119 0.1452
F51 0.5327 0.8681 0.2796
F52 0.5489 0.8820 0.9196
F53 0.5569 0.0984 0.6952
F54 0.5580 0.2228 0.8427
F55 0.5631 0.1636 0.4920
F56 0.5762 0.3771 0.7091
F57 0.5820 0.6432 0.8463
F58 0.5923 0.3647 0.3857
F59 0.5993 0.6851 0.0066
F60 0.6267 0.0945 0.3684
F61 0.6276 0.8930 0.8120
F62 0.6292 0.3678 0.5383
F63 0.6452 0.9380 0.9721
F64 0.6628 0.1014 0.5228
F65 0.6738 0.8656 0.6372
F66 0.6781 0.6982 0.9013
F67 0.6922 0.3010 0.4139
F68 0.6944 0.6610 0.5280
F69 0.7034 0.6083 0.6879
F70 0.7109 0.1255 0.0943
F71 0.7318 0.3332 0.2028
F72 0.7409 0.3815 0.0422
F73 0.7591 0.8815 0.5422
F74 0.7682 0.8332 0.7028
F75 0.7891 0.6255 0.5943
F76 0.7966 0.1083 0.1879
F77 0.8056 0.1610 0.0280
F78 0.8078 0.8010 0.9139
F79 0.8219 0.1982 0.4013
F80 0.8262 0.3656 0.1372
F81 0.8372 0.6014 0.0228
F82 0.8548 0.4380 0.4721
F83 0.8708 0.8678 0.0383
F84 0.8724 0.3930 0.3120
F85 0.8733 0.5945 0.8684
F86 0.9007 0.1851 0.5066
F87 0.9077 0.8647 0.8857
F88 0.9180 0.1432 0.3463
F89 0.9238 0.8771 0.2091
F90 0.9369 0.6636 0.9920
F91 0.9420 0.7228 0.3427
F92 0.9431 0.5984 0.1952
F93 0.9511 0.3820 0.4196
F94 0.9673 0.3681 0.7796
F95 0.9856 0.2119 0.6452
F96 0.9874 0.0893 0.7925
```

Calculated values
As for the symmetry: Pna2_1. As for the crystal system: orthorhombic.

Preferred: *B*; penalty for the next structure: 0.082 eV/atom.

*A*
The following is a DFT calculation (PBE) of a geometry-optimized GaAsH4O6 structure.

Structure (CIF):
```
data_GaAsH4O6
_symmetry_space_group_name_H-M 'P 1'
_symmetry_Int_Tables_number 1
_cell_length_a 9.0189
_cell_length_b 10.0717
_cell_length_c 10.4962
_cell_angle_alpha 90.00
_cell_angle_beta 90.00
_cell_angle_gamma 90.00
loop_
_symmetry_equiv_pos_as_xyz
'x,y,z'
loop_
_atom_site_label
_atom_site_fract_x
_atom_site_fract_y
_atom_site_fract_z
Ga1 0.1531 0.1805 0.1304
Ga2 0.1531 0.3195 0.6304
Ga3 0.3469 0.6805 0.1304
Ga4 0.3469 0.8195 0.6304
Ga5 0.6531 0.1805 0.3696
Ga6 0.6531 0.3195 0.8696
Ga7 0.8469 0.6805 0.3696
Ga8 0.8469 0.8195 0.8696
As1 0.0274 0.6376 0.6481
As2 0.0274 0.8624 0.1481
As3 0.4726 0.1376 0.6481
As4 0.4726 0.3624 0.1481
As5 0.5274 0.6376 0.8519
As6 0.5274 0.8624 0.3519
As7 0.9726 0.1376 0.8519
As8 0.9726 0.3624 0.3519
H1 0.0823 0.5867 0.0737
H2 0.0823 0.9133 0.5737
H3 0.1657 0.5906 0.3179
H4 0.1657 0.9094 0.8179
H5 0.1933 0.1779 0.3709
H6 0.1933 0.3221 0.8709
H7 0.2054 0.0334 0.5792
H8 0.2054 0.4666 0.0792
H9 0.2946 0.5334 0.5792
H10 0.2946 0.9666 0.0792
H11 0.3067 0.6779 0.3709
H12 0.3067 0.8221 0.8709
H13 0.3343 0.0906 0.3179
H14 0.3343 0.4094 0.8179
H15 0.4177 0.0867 0.0737
H16 0.4177 0.4133 0.5737
H17 0.5823 0.5867 0.4263
H18 0.5823 0.9133 0.9263
H19 0.6657 0.5906 0.1821
H20 0.6657 0.9094 0.6821
H21 0.6933 0.1779 0.1291
H22 0.6933 0.3221 0.6291
H23 0.7054 0.0334 0.9208
H24 0.7054 0.4666 0.4208
H25 0.7946 0.5334 0.9208
H26 0.7946 0.9666 0.4208
H27 0.8067 0.6779 0.1291
H28 0.8067 0.8221 0.6291
H29 0.8343 0.0906 0.1821
H30 0.8343 0.4094 0.6821
H31 0.9177 0.0867 0.4263
H32 0.9177 0.4133 0.9263
O1 0.0008 0.5317 0.3601
O2 0.0008 0.9683 0.8601
O3 0.0069 0.1992 0.7033
O4 0.0069 0.3008 0.2033
O5 0.0833 0.2263 0.9570
O6 0.0833 0.2737 0.4570
O7 0.1842 0.5626 0.0535
O8 0.1842 0.9374 0.5535
O9 0.2115 0.6641 0.6119
O10 0.2115 0.8359 0.1119
O11 0.2295 0.1190 0.3001
O12 0.2295 0.3810 0.8001
O13 0.2705 0.6190 0.3001
O14 0.2705 0.8810 0.8001
O15 0.2885 0.1641 0.6119
O16 0.2885 0.3359 0.1119
O17 0.3158 0.0626 0.0535
O18 0.3158 0.4374 0.5535
O19 0.4167 0.7263 0.9570
O20 0.4167 0.7737 0.4570
O21 0.4931 0.6992 0.7033
O22 0.4931 0.8008 0.2033
O23 0.4992 0.0317 0.3601
O24 0.4992 0.4683 0.8601
O25 0.5008 0.5317 0.1399
O26 0.5008 0.9683 0.6399
O27 0.5069 0.1992 0.7967
O28 0.5069 0.3008 0.2967
O29 0.5833 0.2263 0.5430
O30 0.5833 0.2737 0.0430
O31 0.6842 0.5626 0.4465
O32 0.6842 0.9374 0.9465
O33 0.7115 0.6641 0.8881
O34 0.7115 0.8359 0.3881
O35 0.7295 0.1190 0.1999
O36 0.7295 0.3810 0.6999
O37 0.7705 0.6190 0.1999
O38 0.7705 0.8810 0.6999
O39 0.7885 0.1641 0.8881
O40 0.7885 0.3359 0.3881
O41 0.8158 0.0626 0.4465
O42 0.8158 0.4374 0.9465
O43 0.9167 0.7263 0.5430
O44 0.9167 0.7737 0.0430
O45 0.9931 0.6992 0.7967
O46 0.9931 0.8008 0.2967
O47 0.9992 0.0317 0.1399
O48 0.9992 0.4683 0.6399
```

Calculated values
As for the symmetry: Pbca. As for the crystal system: orthorhombic.

*B*
The following is a DFT calculation (PBE) of a geometry-optimized GaAsH4O6 structure.

Structure (CIF):
```
data_GaAsH4O6
_symmetry_space_group_name_H-M 'P 1'
_symmetry_Int_Tables_number 1
_cell_length_a 8.9707
_cell_length_b 10.2663
_cell_length_c 10.5477
_cell_angle_alpha 90.00
_cell_angle_beta 90.00
_cell_angle_gamma 90.00
loop_
_symmetry_equiv_pos_as_xyz
'x,y,z'
loop_
_atom_site_label
_atom_site_fract_x
_atom_site_fract_y
_atom_site_fract_z
Ga1 0.1415 0.1673 0.1284
Ga2 0.1415 0.3327 0.6284
Ga3 0.3585 0.6673 0.1284
Ga4 0.3585 0.8327 0.6284
Ga5 0.6415 0.1673 0.3716
Ga6 0.6415 0.3327 0.8716
Ga7 0.8585 0.6673 0.3716
Ga8 0.8585 0.8327 0.8716
As1 0.0430 0.6520 0.6493
As2 0.0430 0.8480 0.1493
As3 0.4570 0.1520 0.6493
As4 0.4570 0.3480 0.1493
As5 0.5430 0.6520 0.8507
As6 0.5430 0.8480 0.3507
As7 0.9570 0.1520 0.8507
As8 0.9570 0.3480 0.3507
H1 0.1595 0.5640 0.9642
H2 0.1595 0.9360 0.4642
H3 0.1779 0.5463 0.2889
H4 0.1779 0.9537 0.7889
H5 0.1914 0.6879 0.3226
H6 0.1914 0.8121 0.8226
H7 0.1994 0.0392 0.5732
H8 0.1994 0.4608 0.0732
H9 0.3006 0.5392 0.5732
H10 0.3006 0.9608 0.0732
H11 0.3086 0.1879 0.3226
H12 0.3086 0.3121 0.8226
H13 0.3221 0.0463 0.2889
H14 0.3221 0.4537 0.7889
H15 0.3405 0.0640 0.9642
H16 0.3405 0.4360 0.4642
H17 0.6595 0.5640 0.5358
H18 0.6595 0.9360 0.0358
H19 0.6779 0.5463 0.2111
H20 0.6779 0.9537 0.7111
H21 0.6914 0.6879 0.1774
H22 0.6914 0.8121 0.6774
H23 0.6994 0.0392 0.9268
H24 0.6994 0.4608 0.4268
H25 0.8006 0.5392 0.9268
H26 0.8006 0.9608 0.4268
H27 0.8086 0.1879 0.1774
H28 0.8086 0.3121 0.6774
H29 0.8221 0.0463 0.2111
H30 0.8221 0.4537 0.7111
H31 0.8405 0.0640 0.5358
H32 0.8405 0.4360 0.0358
O1 0.0131 0.0132 0.1558
O2 0.0131 0.4868 0.6558
O3 0.0165 0.7225 0.7964
O4 0.0165 0.7775 0.2964
O5 0.0779 0.2152 0.9583
O6 0.0779 0.2848 0.4583
O7 0.1810 0.5564 0.0546
O8 0.1810 0.9436 0.5546
O9 0.2312 0.6741 0.6186
O10 0.2312 0.8259 0.1186
O11 0.2435 0.1142 0.2976
O12 0.2435 0.3858 0.7976
O13 0.2565 0.6142 0.2976
O14 0.2565 0.8858 0.7976
O15 0.2688 0.1741 0.6186
O16 0.2688 0.3259 0.1186
O17 0.3190 0.0564 0.0546
O18 0.3190 0.4436 0.5546
O19 0.4221 0.7152 0.9583
O20 0.4221 0.7848 0.4583
O21 0.4835 0.2225 0.7964
O22 0.4835 0.2775 0.2964
O23 0.4869 0.5132 0.1558
O24 0.4869 0.9868 0.6558
O25 0.5131 0.0132 0.3442
O26 0.5131 0.4868 0.8442
O27 0.5165 0.7225 0.7036
O28 0.5165 0.7775 0.2036
O29 0.5779 0.2152 0.5417
O30 0.5779 0.2848 0.0417
O31 0.6810 0.5564 0.4454
O32 0.6810 0.9436 0.9454
O33 0.7312 0.6741 0.8814
O34 0.7312 0.8259 0.3814
O35 0.7435 0.1142 0.2024
O36 0.7435 0.3858 0.7024
O37 0.7565 0.6142 0.2024
O38 0.7565 0.8858 0.7024
O39 0.7688 0.1741 0.8814
O40 0.7688 0.3259 0.3814
O41 0.8190 0.0564 0.4454
O42 0.8190 0.4436 0.9454
O43 0.9221 0.7152 0.5417
O44 0.9221 0.7848 0.0417
O45 0.9835 0.2225 0.7036
O46 0.9835 0.2775 0.2036
O47 0.9869 0.5132 0.3442
O48 0.9869 0.9868 0.8442
```

Calculated values
As for the symmetry: Pbca. As for the crystal system: orthorhombic.

Preferred: *A*; penalty for the next structure: 0.021 eV/atom.